1.
# PBE-GGA TaB2, optimized geometry
data_TaB2
_chemical_formula_sum 'Ta1 B2'
_space_group_name_H-M_alt 'P 1'
_space_group_IT_number 1
_cell_length_a 3.097
_cell_length_b 3.097
_cell_length_c 3.343
_cell_angle_alpha 90.00
_cell_angle_beta 90.00
_cell_angle_gamma 120.00
loop_
_space_group_symop_operation_xyz
'x,y,z'
loop_
_atom_site_label
_atom_site_type_symbol
_atom_site_fract_x
_atom_site_fract_y
_atom_site_fract_z
Ta1 Ta 0.000 0.000 0.000
B1 B 0.667 0.333 0.500
B2 B 0.333 0.667 0.500
# crystal system = hexagonal

=====

2.
# PBE-GGA Be3Si3Ag2O12, optimized geometry
data_Be3Si3Ag2O12
_chemical_formula_sum 'Be12 Si12 Ag8 O48'
_space_group_name_H-M_alt 'P 1'
_space_group_IT_number 1
_cell_length_a 7.786
_cell_length_b 8.283
_cell_length_c 16.671
_cell_angle_alpha 60.56
_cell_angle_beta 90.00
_cell_angle_gamma 90.00
loop_
_space_group_symop_operation_xyz
'x,y,z'
loop_
_atom_site_label
_atom_site_type_symbol
_atom_site_fract_x
_atom_site_fract_y
_atom_site_fract_z
Be1 Be 0.839 0.809 0.764
Be2 Be 0.662 0.161 0.404
Be3 Be 0.162 0.839 0.096
Be4 Be 0.338 0.839 0.596
Be5 Be 0.838 0.161 0.904
Be6 Be 0.163 0.478 0.418
Be7 Be 0.663 0.522 0.082
Be8 Be 0.837 0.522 0.582
Be9 Be 0.337 0.478 0.918
Be10 Be 0.661 0.809 0.264
Be11 Be 0.161 0.191 0.236
Be12 Be 0.339 0.191 0.736
Si1 Si 0.222 0.813 0.768
Si2 Si 0.722 0.187 0.732
Si3 Si 0.778 0.187 0.232
Si4 Si 0.278 0.813 0.268
Si5 Si 0.727 0.466 0.922
Si6 Si 0.227 0.534 0.578
Si7 Si 0.273 0.534 0.078
Si8 Si 0.773 0.466 0.422
Si9 Si 0.227 0.156 0.905
Si10 Si 0.727 0.844 0.595
Si11 Si 0.773 0.844 0.095
Si12 Si 0.273 0.156 0.405
Ag1 Ag 0.465 0.160 0.089
Ag2 Ag 0.035 0.160 0.589
Ag3 Ag 0.535 0.840 0.911
Ag4 Ag 0.965 0.840 0.411
Ag5 Ag 0.554 0.811 0.432
Ag6 Ag 0.054 0.189 0.068
Ag7 Ag 0.446 0.189 0.568
Ag8 Ag 0.946 0.811 0.932
O1 O 0.146 0.711 0.049
O2 O 0.028 0.774 0.813
O3 O 0.528 0.226 0.687
O4 O 0.972 0.226 0.187
O5 O 0.472 0.774 0.313
O6 O 0.529 0.388 0.951
O7 O 0.029 0.612 0.549
O8 O 0.471 0.612 0.049
O9 O 0.971 0.388 0.451
O10 O 0.031 0.091 0.893
O11 O 0.531 0.909 0.607
O12 O 0.969 0.909 0.107
O13 O 0.142 0.098 0.347
O14 O 0.642 0.902 0.153
O15 O 0.858 0.902 0.653
O16 O 0.358 0.098 0.847
O17 O 0.646 0.289 0.451
O18 O 0.469 0.091 0.393
O19 O 0.354 0.711 0.549
O20 O 0.854 0.289 0.951
O21 O 0.764 0.958 0.480
O22 O 0.642 0.295 0.147
O23 O 0.858 0.295 0.647
O24 O 0.358 0.705 0.853
O25 O 0.741 0.249 0.810
O26 O 0.241 0.751 0.690
O27 O 0.259 0.751 0.190
O28 O 0.759 0.249 0.310
O29 O 0.737 0.620 0.815
O30 O 0.237 0.380 0.685
O31 O 0.263 0.380 0.185
O32 O 0.763 0.620 0.315
O33 O 0.239 0.373 0.874
O34 O 0.739 0.627 0.626
O35 O 0.761 0.627 0.126
O36 O 0.261 0.373 0.374
O37 O 0.745 0.958 0.789
O38 O 0.245 0.042 0.711
O39 O 0.255 0.042 0.211
O40 O 0.755 0.958 0.289
O41 O 0.777 0.566 0.986
O42 O 0.277 0.434 0.514
O43 O 0.223 0.434 0.014
O44 O 0.723 0.566 0.486
O45 O 0.736 0.958 0.980
O46 O 0.236 0.042 0.520
O47 O 0.264 0.042 0.020
O48 O 0.142 0.705 0.353
# crystal system = monoclinic
# spin magnetization = 2.61 μB/f.u.

=====

3.
# PBE-GGA Y5Ga3, optimized geometry
data_Y5Ga3
_chemical_formula_sum 'Y20 Ga12'
_space_group_name_H-M_alt 'P 1'
_space_group_IT_number 1
_cell_length_a 7.657
_cell_length_b 7.657
_cell_length_c 14.239
_cell_angle_alpha 90.00
_cell_angle_beta 90.00
_cell_angle_gamma 90.00
loop_
_space_group_symop_operation_xyz
'x,y,z'
loop_
_atom_site_label
_atom_site_type_symbol
_atom_site_fract_x
_atom_site_fract_y
_atom_site_fract_z
Y1 Y 0.832 0.830 0.897
Y2 Y 0.170 0.168 0.603
Y3 Y 0.832 0.170 0.397
Y4 Y 0.168 0.830 0.397
Y5 Y 0.330 0.332 0.397
Y6 Y 0.830 0.168 0.103
Y7 Y 0.330 0.668 0.897
Y8 Y 0.170 0.832 0.103
Y9 Y 0.500 0.000 0.754
Y10 Y 0.000 0.500 0.246
Y11 Y 0.332 0.670 0.603
Y12 Y 0.668 0.670 0.103
Y13 Y 0.668 0.330 0.603
Y14 Y 0.000 0.500 0.746
Y15 Y 0.830 0.832 0.603
Y16 Y 0.670 0.332 0.897
Y17 Y 0.168 0.170 0.897
Y18 Y 0.500 0.000 0.254
Y19 Y 0.670 0.668 0.397
Y20 Y 0.332 0.330 0.103
Ga1 Ga 0.623 0.377 0.250
Ga2 Ga 0.377 0.623 0.250
Ga3 Ga 0.000 0.500 0.002
Ga4 Ga 0.500 0.000 0.998
Ga5 Ga 0.123 0.123 0.250
Ga6 Ga 0.377 0.377 0.750
Ga7 Ga 0.500 0.000 0.498
Ga8 Ga 0.000 0.500 0.502
Ga9 Ga 0.123 0.877 0.750
Ga10 Ga 0.877 0.877 0.250
Ga11 Ga 0.623 0.623 0.750
Ga12 Ga 0.877 0.123 0.750
# crystal system = tetragonal
# relative energy among the computed polymorphs = 0.000 kcal/mol of atoms

=====

4.
# PBE-GGA Ca2GaBiO6, optimized geometry
data_Ca2GaBiO6
_chemical_formula_sum 'Ca2 Ga1 Bi1 O6'
_space_group_name_H-M_alt 'P 1'
_space_group_IT_number 1
_cell_length_a 5.713
_cell_length_b 5.713
_cell_length_c 5.713
_cell_angle_alpha 60.00
_cell_angle_beta 60.00
_cell_angle_gamma 60.00
loop_
_space_group_symop_operation_xyz
'x,y,z'
loop_
_atom_site_label
_atom_site_type_symbol
_atom_site_fract_x
_atom_site_fract_y
_atom_site_fract_z
Ca1 Ca 0.250 0.250 0.250
Ca2 Ca 0.750 0.750 0.750
Ga1 Ga 0.500 0.500 0.500
Bi1 Bi 0.000 0.000 0.000
O1 O 0.742 0.258 0.258
O2 O 0.258 0.742 0.742
O3 O 0.742 0.258 0.742
O4 O 0.258 0.742 0.258
O5 O 0.742 0.742 0.258
O6 O 0.258 0.258 0.742
# crystal system = cubic
# spin magnetization = 0.00 μB/f.u.

=====

5.
# PBE-GGA Lu6Ga19Pd3, optimized geometry
data_Lu6Ga19Pd3
_chemical_formula_sum 'Lu6 Ga19 Pd3'
_space_group_name_H-M_alt 'P 1'
_space_group_IT_number 1
_cell_length_a 8.112
_cell_length_b 8.112
_cell_length_c 15.867
_cell_angle_alpha 76.36
_cell_angle_beta 76.36
_cell_angle_gamma 30.32
loop_
_space_group_symop_operation_xyz
'x,y,z'
loop_
_atom_site_label
_atom_site_type_symbol
_atom_site_fract_x
_atom_site_fract_y
_atom_site_fract_z
Lu1 Lu 0.098 0.098 0.598
Lu2 Lu 0.600 0.600 0.099
Lu3 Lu 0.399 0.399 0.902
Lu4 Lu 0.902 0.902 0.401
Lu5 Lu 0.251 0.251 0.750
Lu6 Lu 0.750 0.750 0.250
Ga1 Ga 0.038 0.038 0.823
Ga2 Ga 0.540 0.540 0.320
Ga3 Ga 0.461 0.461 0.681
Ga4 Ga 0.961 0.961 0.177
Ga5 Ga 0.320 0.320 0.537
Ga6 Ga 0.822 0.822 0.039
Ga7 Ga 0.178 0.178 0.962
Ga8 Ga 0.679 0.679 0.461
Ga9 Ga 0.890 0.890 0.764
Ga10 Ga 0.392 0.392 0.261
Ga11 Ga 0.608 0.608 0.741
Ga12 Ga 0.109 0.109 0.239
Ga13 Ga 0.760 0.760 0.894
Ga14 Ga 0.261 0.261 0.390
Ga15 Ga 0.736 0.736 0.609
Ga16 Ga 0.240 0.240 0.107
Ga17 Ga 0.000 0.000 0.001
Ga18 Ga 0.504 0.504 0.495
Ga19 Ga 0.907 0.907 0.594
Pd1 Pd 0.410 0.410 0.091
Pd2 Pd 0.591 0.591 0.909
Pd3 Pd 0.094 0.094 0.405
# crystal system = monoclinic
# spin magnetization = 0.00 μB/f.u.

=====

6.
# PBE-GGA CaEuZnSbO6, optimized geometry
data_CaEuZnSbO6
_chemical_formula_sum 'Ca1 Eu1 Zn1 Sb1 O6'
_space_group_name_H-M_alt 'P 1'
_space_group_IT_number 1
_cell_length_a 5.655
_cell_length_b 5.655
_cell_length_c 5.655
_cell_angle_alpha 60.00
_cell_angle_beta 60.00
_cell_angle_gamma 60.00
loop_
_space_group_symop_operation_xyz
'x,y,z'
loop_
_atom_site_label
_atom_site_type_symbol
_atom_site_fract_x
_atom_site_fract_y
_atom_site_fract_z
Ca1 Ca 0.250 0.250 0.250
Eu1 Eu 0.750 0.750 0.750
Zn1 Zn 0.500 0.500 0.500
Sb1 Sb 0.000 0.000 0.000
O1 O 0.753 0.247 0.247
O2 O 0.247 0.753 0.753
O3 O 0.753 0.247 0.753
O4 O 0.247 0.753 0.247
O5 O 0.753 0.753 0.247
O6 O 0.247 0.247 0.753
# crystal system = cubic
# spin magnetization = 6.01 μB/f.u.

=====

7.
# PBE-GGA Nd2Mn3Sb4S12, optimized geometry
data_Nd2Mn3Sb4S12
_chemical_formula_sum 'Nd2 Mn3 Sb4 S12'
_space_group_name_H-M_alt 'P 1'
_space_group_IT_number 1
_cell_length_a 10.167
_cell_length_b 10.167
_cell_length_c 14.874
_cell_angle_alpha 54.44
_cell_angle_beta 54.44
_cell_angle_gamma 22.04
loop_
_space_group_symop_operation_xyz
'x,y,z'
loop_
_atom_site_label
_atom_site_type_symbol
_atom_site_fract_x
_atom_site_fract_y
_atom_site_fract_z
Nd1 Nd 0.241 0.241 0.863
Nd2 Nd 0.759 0.759 0.137
Mn1 Mn 0.198 0.198 0.621
Mn2 Mn 0.802 0.802 0.379
Mn3 Mn 0.000 0.000 0.000
Sb1 Sb 0.107 0.107 0.451
Sb2 Sb 0.893 0.893 0.549
Sb3 Sb 0.461 0.461 0.815
Sb4 Sb 0.539 0.539 0.185
S1 S 0.058 0.058 0.802
S2 S 0.942 0.942 0.198
S3 S 0.601 0.601 0.977
S4 S 0.399 0.399 0.023
S5 S 0.831 0.831 0.896
S6 S 0.169 0.169 0.104
S7 S 0.411 0.411 0.651
S8 S 0.589 0.589 0.349
S9 S 0.258 0.258 0.292
S10 S 0.742 0.742 0.708
S11 S 0.343 0.343 0.453
S12 S 0.657 0.657 0.547
# crystal system = monoclinic
# spin magnetization = 15.00 μB/f.u.

=====

8.
# PBE-GGA LaP5, optimized geometry
data_LaP5
_chemical_formula_sum 'La4 P20'
_space_group_name_H-M_alt 'P 1'
_space_group_IT_number 1
_cell_length_a 9.739
_cell_length_b 5.611
_cell_length_c 9.830
_cell_angle_alpha 74.62
_cell_angle_beta 90.00
_cell_angle_gamma 90.00
loop_
_space_group_symop_operation_xyz
'x,y,z'
loop_
_atom_site_label
_atom_site_type_symbol
_atom_site_fract_x
_atom_site_fract_y
_atom_site_fract_z
La1 La 0.750 0.638 0.513
La2 La 0.750 0.610 0.035
La3 La 0.250 0.390 0.965
La4 La 0.250 0.362 0.487
P1 P 0.594 0.026 0.811
P2 P 0.094 0.974 0.189
P3 P 0.906 0.026 0.811
P4 P 0.039 0.589 0.656
P5 P 0.461 0.589 0.656
P6 P 0.539 0.411 0.344
P7 P 0.414 0.950 0.690
P8 P 0.455 0.630 0.137
P9 P 0.955 0.370 0.863
P10 P 0.406 0.974 0.189
P11 P 0.914 0.050 0.310
P12 P 0.545 0.370 0.863
P13 P 0.750 0.057 0.152
P14 P 0.750 0.083 0.639
P15 P 0.961 0.411 0.344
P16 P 0.250 0.943 0.848
P17 P 0.045 0.630 0.137
P18 P 0.086 0.950 0.690
P19 P 0.586 0.050 0.310
P20 P 0.250 0.917 0.361
# crystal system = monoclinic
# spin magnetization = 0.00 μB/f.u.

=====

9.
# PBE-GGA PrHo3, optimized geometry
data_PrHo3
_chemical_formula_sum 'Pr1 Ho3'
_space_group_name_H-M_alt 'P 1'
_space_group_IT_number 1
_cell_length_a 6.193
_cell_length_b 6.193
_cell_length_c 6.193
_cell_angle_alpha 131.78
_cell_angle_beta 131.78
_cell_angle_gamma 70.57
loop_
_space_group_symop_operation_xyz
'x,y,z'
loop_
_atom_site_label
_atom_site_type_symbol
_atom_site_fract_x
_atom_site_fract_y
_atom_site_fract_z
Pr1 Pr 0.000 0.000 0.000
Ho1 Ho 0.750 0.250 0.500
Ho2 Ho 0.250 0.750 0.500
Ho3 Ho 0.500 0.500 0.000
# crystal system = tetragonal
# relative energy among the computed polymorphs = 0.181 kcal/mol of atoms

=====

10.
# PBE-GGA KSO4, optimized geometry
data_KSO4
_chemical_formula_sum 'K16 S16 O64'
_space_group_name_H-M_alt 'P 1'
_space_group_IT_number 1
_cell_length_a 8.640
_cell_length_b 10.053
_cell_length_c 19.415
_cell_angle_alpha 90.00
_cell_angle_beta 90.00
_cell_angle_gamma 90.00
loop_
_space_group_symop_operation_xyz
'x,y,z'
loop_
_atom_site_label
_atom_site_type_symbol
_atom_site_fract_x
_atom_site_fract_y
_atom_site_fract_z
K1 K 0.882 0.180 0.375
K2 K 0.382 0.320 0.625
K3 K 0.118 0.680 0.125
K4 K 0.618 0.820 0.875
K5 K 0.118 0.820 0.625
K6 K 0.618 0.680 0.375
K7 K 0.882 0.320 0.875
K8 K 0.382 0.180 0.125
K9 K 0.373 0.319 0.381
K10 K 0.873 0.181 0.619
K11 K 0.627 0.819 0.119
K12 K 0.127 0.681 0.881
K13 K 0.627 0.681 0.619
K14 K 0.127 0.819 0.381
K15 K 0.373 0.181 0.881
K16 K 0.873 0.319 0.119
S1 S 0.752 0.429 0.497
S2 S 0.252 0.071 0.503
S3 S 0.248 0.929 0.003
S4 S 0.748 0.571 0.997
S5 S 0.248 0.571 0.503
S6 S 0.748 0.929 0.497
S7 S 0.752 0.071 0.997
S8 S 0.252 0.429 0.003
S9 S 0.476 0.021 0.292
S10 S 0.976 0.479 0.708
S11 S 0.524 0.521 0.208
S12 S 0.024 0.979 0.792
S13 S 0.524 0.979 0.708
S14 S 0.024 0.521 0.292
S15 S 0.476 0.479 0.792
S16 S 0.976 0.021 0.208
O1 O 0.785 0.574 0.498
O2 O 0.285 0.926 0.502
O3 O 0.215 0.074 0.002
O4 O 0.715 0.426 0.998
O5 O 0.215 0.426 0.502
O6 O 0.715 0.074 0.498
O7 O 0.785 0.926 0.998
O8 O 0.285 0.574 0.002
O9 O 0.898 0.352 0.496
O10 O 0.398 0.148 0.504
O11 O 0.102 0.852 0.004
O12 O 0.602 0.648 0.996
O13 O 0.102 0.648 0.504
O14 O 0.602 0.852 0.496
O15 O 0.898 0.148 0.996
O16 O 0.398 0.352 0.004
O17 O 0.663 0.396 0.560
O18 O 0.163 0.104 0.440
O19 O 0.337 0.896 0.940
O20 O 0.837 0.604 0.060
O21 O 0.337 0.604 0.440
O22 O 0.837 0.896 0.560
O23 O 0.663 0.104 0.060
O24 O 0.163 0.396 0.940
O25 O 0.663 0.398 0.433
O26 O 0.163 0.102 0.567
O27 O 0.337 0.898 0.067
O28 O 0.837 0.602 0.933
O29 O 0.337 0.602 0.567
O30 O 0.837 0.898 0.433
O31 O 0.663 0.102 0.933
O32 O 0.163 0.398 0.067
O33 O 0.561 0.993 0.227
O34 O 0.061 0.507 0.773
O35 O 0.439 0.493 0.273
O36 O 0.939 0.007 0.727
O37 O 0.439 0.007 0.773
O38 O 0.939 0.493 0.227
O39 O 0.561 0.507 0.727
O40 O 0.061 0.993 0.273
O41 O 0.341 0.110 0.278
O42 O 0.841 0.390 0.722
O43 O 0.659 0.610 0.222
O44 O 0.159 0.890 0.778
O45 O 0.659 0.890 0.722
O46 O 0.159 0.610 0.278
O47 O 0.341 0.390 0.778
O48 O 0.841 0.110 0.222
O49 O 0.423 0.894 0.322
O50 O 0.923 0.606 0.678
O51 O 0.577 0.394 0.178
O52 O 0.077 0.106 0.822
O53 O 0.577 0.106 0.678
O54 O 0.077 0.394 0.322
O55 O 0.423 0.606 0.822
O56 O 0.923 0.894 0.178
O57 O 0.581 0.092 0.340
O58 O 0.081 0.408 0.660
O59 O 0.419 0.592 0.160
O60 O 0.919 0.908 0.840
O61 O 0.419 0.908 0.660
O62 O 0.919 0.592 0.340
O63 O 0.581 0.408 0.840
O64 O 0.081 0.092 0.160
# crystal system = orthorhombic
# spin magnetization = 0.00 μB/f.u.

=====

11.
# PBE-GGA Li2Cu3Se4O14, optimized geometry
data_Li2Cu3Se4O14
_chemical_formula_sum 'Li4 Cu6 Se8 O28'
_space_group_name_H-M_alt 'P 1'
_space_group_IT_number 1
_cell_length_a 5.064
_cell_length_b 10.943
_cell_length_c 11.800
_cell_angle_alpha 81.67
_cell_angle_beta 77.61
_cell_angle_gamma 76.62
loop_
_space_group_symop_operation_xyz
'x,y,z'
loop_
_atom_site_label
_atom_site_type_symbol
_atom_site_fract_x
_atom_site_fract_y
_atom_site_fract_z
Li1 Li 0.688 0.016 0.124
Li2 Li 0.328 0.484 0.376
Li3 Li 0.312 0.984 0.876
Li4 Li 0.672 0.516 0.624
Cu1 Cu 0.115 0.244 0.030
Cu2 Cu 0.888 0.256 0.470
Cu3 Cu 0.885 0.756 0.970
Cu4 Cu 0.112 0.744 0.530
Cu5 Cu 0.500 0.000 0.500
Cu6 Cu 0.500 0.500 0.000
Se1 Se 0.712 0.728 0.403
Se2 Se 0.343 0.772 0.097
Se3 Se 0.288 0.272 0.597
Se4 Se 0.657 0.228 0.903
Se5 Se 0.944 0.459 0.207
Se6 Se 0.110 0.041 0.293
Se7 Se 0.056 0.541 0.793
Se8 Se 0.890 0.959 0.707
O1 O 0.144 0.551 0.115
O2 O 0.310 0.949 0.385
O3 O 0.856 0.449 0.885
O4 O 0.690 0.051 0.615
O5 O 0.849 0.360 0.132
O6 O 0.841 0.140 0.368
O7 O 0.151 0.640 0.868
O8 O 0.159 0.860 0.632
O9 O 0.115 0.382 0.311
O10 O 0.307 0.118 0.189
O11 O 0.885 0.618 0.689
O12 O 0.693 0.882 0.811
O13 O 0.651 0.551 0.266
O14 O 0.968 0.949 0.234
O15 O 0.349 0.449 0.734
O16 O 0.032 0.051 0.766
O17 O 0.035 0.640 0.420
O18 O 0.596 0.860 0.080
O19 O 0.965 0.360 0.580
O20 O 0.404 0.140 0.920
O21 O 0.499 0.649 0.508
O22 O 0.156 0.851 0.992
O23 O 0.501 0.351 0.492
O24 O 0.844 0.149 0.008
O25 O 0.757 0.841 0.490
O26 O 0.588 0.659 0.010
O27 O 0.243 0.159 0.510
O28 O 0.412 0.341 0.990
# crystal system = monoclinic
# spin magnetization = 1.00 μB/f.u.

=====

Asked for E across the records above, the calculation gives -9.055, -6.529, -5.701, -5.874, -4.107, -6.712, -5.674, -5.900, -4.603, -5.559, -5.215 eV/atom in order.